The following is a DFT calculation (r2SCAN) of a geometry-optimized NbCl4 structure.

Unit cell a=7.006 b=7.006 c=8.390 alpha=125.02 beta=125.02 gamma=58.64
Fractional positions:
Nb: 0.219 0.781 0.000
Nb: 0.781 0.219 0.000
Cl: 0.208 0.208 0.178
Cl: 0.221 0.732 0.703
Cl: 0.268 0.779 0.297
Cl: 0.319 0.319 0.845
Cl: 0.681 0.681 0.155
Cl: 0.732 0.221 0.703
Cl: 0.779 0.268 0.297
Cl: 0.792 0.792 0.822

Computed properties:
Total magnetization, μB/atom: 0.000
Formation energy from the elements, eV per atom: -1.41
E, eV per atom: -11.2812

The following is a DFT calculation (r2SCAN) of a geometry-optimized Nb3Cl7 structure.

Unit cell a=9.275 b=9.275 c=11.152 alpha=90.00 beta=90.00 gamma=85.36
Fractional positions:
Nb: 0.046 0.171 0.888
Nb: 0.135 0.865 0.904
Nb: 0.171 0.046 0.112
Nb: 0.329 0.454 0.612
Nb: 0.365 0.635 0.404
Nb: 0.454 0.329 0.388
Nb: 0.546 0.671 0.612
Nb: 0.635 0.365 0.596
Nb: 0.671 0.546 0.388
Nb: 0.829 0.954 0.888
Nb: 0.865 0.135 0.096
Nb: 0.954 0.829 0.112
Cl: 0.032 0.216 0.247
Cl: 0.107 0.393 0.750
Cl: 0.113 0.638 0.012
Cl: 0.138 0.613 0.512
Cl: 0.148 0.852 0.267
Cl: 0.216 0.032 0.753
Cl: 0.248 0.248 0.500
Cl: 0.252 0.252 0.000
Cl: 0.284 0.468 0.253
Cl: 0.352 0.648 0.767
Cl: 0.362 0.887 0.012
Cl: 0.387 0.862 0.512
Cl: 0.393 0.107 0.250
Cl: 0.468 0.284 0.747
Cl: 0.532 0.716 0.253
Cl: 0.607 0.893 0.750
Cl: 0.613 0.138 0.488
Cl: 0.638 0.113 0.988
Cl: 0.648 0.352 0.233
Cl: 0.716 0.532 0.747
Cl: 0.748 0.748 0.000
Cl: 0.752 0.752 0.500
Cl: 0.784 0.968 0.247
Cl: 0.852 0.148 0.733
Cl: 0.862 0.387 0.488
Cl: 0.887 0.362 0.988
Cl: 0.893 0.607 0.250
Cl: 0.968 0.784 0.753

Computed properties:
Total magnetization, μB/atom: 0.000
Formation energy from the elements, eV per atom: -1.42
E, eV per atom: -13.1459

The following is a DFT calculation (r2SCAN) of a geometry-optimized Nb3ClO7 structure.

Unit cell a=15.743 b=11.025 c=3.884 alpha=90.00 beta=90.00 gamma=90.00
Fractional positions:
Nb: 0.031 0.250 0.049
Nb: 0.164 0.537 0.001
Nb: 0.164 0.963 0.001
Nb: 0.336 0.037 0.501
Nb: 0.336 0.463 0.501
Nb: 0.469 0.750 0.549
Nb: 0.531 0.250 0.451
Nb: 0.664 0.537 0.499
Nb: 0.664 0.963 0.499
Nb: 0.836 0.037 0.999
Nb: 0.836 0.463 0.999
Nb: 0.969 0.750 0.951
Cl: 0.241 0.750 0.007
Cl: 0.259 0.250 0.507
Cl: 0.741 0.750 0.493
Cl: 0.759 0.250 0.993
O: 0.025 0.250 0.516
O: 0.066 0.625 0.993
O: 0.066 0.875 0.993
O: 0.114 0.116 0.007
O: 0.114 0.384 0.007
O: 0.200 0.530 0.503
O: 0.200 0.970 0.503
O: 0.300 0.030 0.003
O: 0.300 0.470 0.003
O: 0.386 0.616 0.507
O: 0.386 0.884 0.507
O: 0.434 0.125 0.493
O: 0.434 0.375 0.493
O: 0.475 0.750 0.016
O: 0.525 0.250 0.984
O: 0.566 0.625 0.507
O: 0.566 0.875 0.507
O: 0.614 0.116 0.493
O: 0.614 0.384 0.493
O: 0.700 0.530 0.997
O: 0.700 0.970 0.997
O: 0.800 0.030 0.497
O: 0.800 0.470 0.497
O: 0.886 0.616 0.993
O: 0.886 0.884 0.993
O: 0.934 0.125 0.007
O: 0.934 0.375 0.007
O: 0.975 0.750 0.484

Computed properties:
Total magnetization, μB/atom: 0.000
Formation energy from the elements, eV per atom: -2.60
E, eV per atom: -13.7074

The following is a DFT calculation (r2SCAN) of a geometry-optimized Nb3Cl5O2 structure.

Unit cell a=8.153 b=14.721 c=6.749 alpha=90.00 beta=90.00 gamma=90.00
Fractional positions:
Nb: 0.027 0.135 0.000
Nb: 0.239 0.240 0.211
Nb: 0.239 0.240 0.789
Nb: 0.261 0.740 0.289
Nb: 0.261 0.740 0.711
Nb: 0.473 0.635 0.500
Nb: 0.527 0.365 0.500
Nb: 0.739 0.260 0.289
Nb: 0.739 0.260 0.711
Nb: 0.761 0.760 0.211
Nb: 0.761 0.760 0.789
Nb: 0.973 0.865 0.000
Cl: 0.000 0.000 0.240
Cl: 0.000 0.000 0.760
Cl: 0.172 0.611 0.500
Cl: 0.206 0.358 0.500
Cl: 0.209 0.373 0.000
Cl: 0.226 0.630 0.000
Cl: 0.274 0.130 0.500
Cl: 0.291 0.873 0.500
Cl: 0.294 0.858 0.000
Cl: 0.328 0.111 0.000
Cl: 0.500 0.500 0.260
Cl: 0.500 0.500 0.740
Cl: 0.672 0.889 0.000
Cl: 0.706 0.142 0.000
Cl: 0.709 0.127 0.500
Cl: 0.726 0.870 0.500
Cl: 0.774 0.370 0.000
Cl: 0.791 0.627 0.000
Cl: 0.794 0.642 0.500
Cl: 0.828 0.389 0.500
O: 0.010 0.774 0.222
O: 0.010 0.774 0.778
O: 0.490 0.274 0.278
O: 0.490 0.274 0.722
O: 0.510 0.726 0.278
O: 0.510 0.726 0.722
O: 0.990 0.226 0.222
O: 0.990 0.226 0.778

Computed properties:
Total magnetization, μB/atom: 0.000
Formation energy from the elements, eV per atom: -1.83
E, eV per atom: -13.5185

The following is a DFT calculation (r2SCAN) of a geometry-optimized RbNb4Cl11 structure.

Unit cell a=16.280 b=6.965 c=6.773 alpha=90.00 beta=90.00 gamma=90.00
Fractional positions:
Rb: 0.250 0.000 0.015
Rb: 0.750 0.000 0.985
Nb: 0.000 0.286 0.500
Nb: 0.000 0.714 0.500
Nb: 0.141 0.500 0.619
Nb: 0.359 0.500 0.619
Nb: 0.500 0.286 0.500
Nb: 0.500 0.714 0.500
Nb: 0.641 0.500 0.381
Nb: 0.859 0.500 0.381
Cl: 0.080 0.247 0.816
Cl: 0.080 0.753 0.816
Cl: 0.083 0.000 0.359
Cl: 0.085 0.500 0.283
Cl: 0.250 0.266 0.480
Cl: 0.250 0.500 0.906
Cl: 0.250 0.734 0.480
Cl: 0.415 0.500 0.283
Cl: 0.417 0.000 0.359
Cl: 0.420 0.247 0.816
Cl: 0.420 0.753 0.816
Cl: 0.580 0.247 0.184
Cl: 0.580 0.753 0.184
Cl: 0.583 0.000 0.641
Cl: 0.585 0.500 0.717
Cl: 0.750 0.266 0.520
Cl: 0.750 0.500 0.094
Cl: 0.750 0.734 0.520
Cl: 0.915 0.500 0.717
Cl: 0.917 0.000 0.641
Cl: 0.920 0.247 0.184
Cl: 0.920 0.753 0.184

Computed properties:
Total magnetization, μB/atom: 0.000
Formation energy from the elements, eV per atom: -1.54
E, eV per atom: -12.8280

The following is a DFT calculation (r2SCAN) of a geometry-optimized Nb3Se10Cl3 structure.

Unit cell a=7.552 b=19.244 c=12.189 alpha=90.00 beta=96.93 gamma=90.00
Fractional positions:
Nb: 0.153 0.149 0.158
Nb: 0.153 0.351 0.158
Nb: 0.247 0.000 0.251
Nb: 0.247 0.500 0.251
Nb: 0.334 0.649 0.345
Nb: 0.334 0.851 0.345
Nb: 0.666 0.149 0.655
Nb: 0.666 0.351 0.655
Nb: 0.753 0.000 0.749
Nb: 0.753 0.500 0.749
Nb: 0.847 0.649 0.842
Nb: 0.847 0.851 0.842
Se: 0.041 0.611 0.216
Se: 0.041 0.889 0.216
Se: 0.057 0.574 0.737
Se: 0.057 0.926 0.737
Se: 0.078 0.571 0.400
Se: 0.078 0.929 0.400
Se: 0.205 0.113 0.370
Se: 0.205 0.387 0.370
Se: 0.214 0.036 0.039
Se: 0.214 0.464 0.039
Se: 0.271 0.250 0.027
Se: 0.374 0.750 0.195
Se: 0.402 0.250 0.209
Se: 0.412 0.250 0.652
Se: 0.450 0.038 0.629
Se: 0.450 0.462 0.629
Se: 0.456 0.086 0.145
Se: 0.456 0.414 0.145
Se: 0.498 0.087 0.803
Se: 0.498 0.413 0.803
Se: 0.502 0.587 0.197
Se: 0.502 0.913 0.197
Se: 0.544 0.586 0.855
Se: 0.544 0.914 0.855
Se: 0.550 0.538 0.371
Se: 0.550 0.962 0.371
Se: 0.588 0.750 0.348
Se: 0.598 0.750 0.791
Se: 0.626 0.250 0.805
Se: 0.729 0.750 0.973
Se: 0.786 0.536 0.961
Se: 0.786 0.964 0.961
Se: 0.795 0.613 0.630
Se: 0.795 0.887 0.630
Se: 0.922 0.071 0.600
Se: 0.922 0.429 0.600
Se: 0.943 0.074 0.263
Se: 0.943 0.426 0.263
Se: 0.959 0.111 0.784
Se: 0.959 0.389 0.784
Cl: 0.022 0.750 0.768
Cl: 0.117 0.652 0.985
Cl: 0.117 0.848 0.985
Cl: 0.135 0.750 0.398
Cl: 0.415 0.651 0.552
Cl: 0.415 0.849 0.552
Cl: 0.585 0.151 0.448
Cl: 0.585 0.349 0.448
Cl: 0.865 0.250 0.602
Cl: 0.883 0.152 0.015
Cl: 0.883 0.348 0.015
Cl: 0.978 0.250 0.232

Computed properties:
Total magnetization, μB/atom: 0.000
Formation energy from the elements, eV per atom: -0.81
E, eV per atom: -15.5432